Zr2N2O: relaxed, GGA-PBE.

DFT formation energy	-2.11	eV/atom
final energy	-194.4	eV for the cell shown
symmetry	No. 5
volume	13.3	A^3/atom

Unit cell a=5.5866 b=5.5866 c=10.4466 alpha=106.11 beta=106.11 gamma=59.34
Sites, in units of the cell vectors:
1 Zr 0.0577 0.0577 0.1623
2 Zr 0.2054 0.1961 0.5882
3 Zr 0.2959 0.2857 0.9129
4 Zr 0.4530 0.4253 0.3383
5 Zr 0.5747 0.5470 0.6617
6 Zr 0.7143 0.7041 0.0871
7 Zr 0.8039 0.7946 0.4118
8 Zr 0.9423 0.9423 0.8377
9 N 0.0339 0.4600 0.2509
10 N 0.2908 0.0042 0.0027
11 N 0.4849 0.2130 0.4945
12 N 0.5400 0.9661 0.7491
13 N 0.7400 0.0524 0.2435
14 N 0.7870 0.5151 0.5055
15 N 0.9476 0.2600 0.7565
16 N 0.9958 0.7092 0.9973
17 O 0.1801 0.8199 0.5000
18 O 0.2412 0.5640 0.7423
19 O 0.4360 0.7588 0.2577
20 O 0.6888 0.3112 0.0000

La2Si3Rh: relaxed, GGA-PBE.

DFT formation energy	-0.93	eV/atom
final energy	-156.3	eV for the cell shown
symmetry	No. 194
volume	21.6	A^3/atom

Unit cell a=8.3369 b=8.3369 c=8.6091 alpha=90.00 beta=90.00 gamma=120.00
Sites, in units of the cell vectors:
1 La 0.0000 0.0000 0.2500
2 La 0.0000 0.0000 0.7500
3 La 0.0026 0.5013 0.2500
4 La 0.4987 0.5013 0.2500
5 La 0.4987 0.9974 0.2500
6 La 0.5013 0.0026 0.7500
7 La 0.5013 0.4987 0.7500
8 La 0.9974 0.4987 0.7500
9 Si 0.1659 0.3318 0.0013
10 Si 0.1659 0.3318 0.4987
11 Si 0.1659 0.8341 0.0013
12 Si 0.1659 0.8341 0.4987
13 Si 0.3318 0.1659 0.5013
14 Si 0.3318 0.1659 0.9987
15 Si 0.6682 0.8341 0.0013
16 Si 0.6682 0.8341 0.4987
17 Si 0.8341 0.1659 0.5013
18 Si 0.8341 0.1659 0.9987
19 Si 0.8341 0.6682 0.5013
20 Si 0.8341 0.6682 0.9987
21 Rh 0.3333 0.6667 0.5051
22 Rh 0.3333 0.6667 0.9949
23 Rh 0.6667 0.3333 0.0051
24 Rh 0.6667 0.3333 0.4949

Cs2RbNdCl6: relaxed, GGA-PBE.

DFT formation energy	-2.48	eV/atom
final energy	-39.7	eV for the cell shown
symmetry	No. 225
volume	40.7	A^3/atom

Unit cell a=8.3170 b=8.3170 c=8.3170 alpha=60.00 beta=60.00 gamma=60.00
Sites, in units of the cell vectors:
1 Cs 0.2500 0.2500 0.2500
2 Cs 0.7500 0.7500 0.7500
3 Rb 0.0000 0.0000 0.0000
4 Nd 0.5000 0.5000 0.5000
5 Cl 0.2675 0.2675 0.7325
6 Cl 0.2675 0.7325 0.2675
7 Cl 0.2675 0.7325 0.7325
8 Cl 0.7325 0.2675 0.2675
9 Cl 0.7325 0.2675 0.7325
10 Cl 0.7325 0.7325 0.2675

Ir3Rh: relaxed, GGA-PBE.

DFT formation energy	-0.02	eV/atom
final energy	-34.0	eV for the cell shown
symmetry	No. 139
volume	14.5	A^3/atom

Unit cell a=4.7370 b=4.7370 c=4.7370 alpha=131.80 beta=131.80 gamma=70.55
Sites, in units of the cell vectors:
1 Ir 0.0000 0.0000 0.0000
2 Ir 0.2500 0.7500 0.5000
3 Ir 0.7500 0.2500 0.5000
4 Rh 0.5000 0.5000 0.0000

Ho12In3Fe2: relaxed, GGA-PBE.

DFT formation energy	-0.22	eV/atom
final energy	-83.9	eV for the cell shown
symmetry	No. 139
volume	26.9	A^3/atom

Unit cell a=8.4102 b=8.4102 c=8.4102 alpha=110.32 beta=110.32 gamma=107.78
Sites, in units of the cell vectors:
1 Ho 0.0401 0.7923 0.2478
2 Ho 0.2077 0.4555 0.2478
3 Ho 0.2077 0.9599 0.7522
4 Ho 0.3051 0.3051 0.6101
5 Ho 0.3051 0.6949 0.0000
6 Ho 0.4555 0.2077 0.2478
7 Ho 0.5445 0.7923 0.7522
8 Ho 0.6949 0.3051 0.0000
9 Ho 0.6949 0.6949 0.3899
10 Ho 0.7923 0.0401 0.2478
11 Ho 0.7923 0.5445 0.7522
12 Ho 0.9599 0.2077 0.7522
13 In 0.0000 0.0000 0.0000
14 In 0.0000 0.5000 0.5000
15 In 0.5000 0.0000 0.5000
16 Fe 0.3887 0.3887 0.0000
17 Fe 0.6113 0.6113 0.0000

CrBN2: relaxed, GGA-PBE.

DFT formation energy	-0.67	eV/atom
final energy	-69.9	eV for the cell shown
symmetry	No. 194
volume	10.1	A^3/atom

Unit cell a=3.1201 b=3.1201 c=9.5981 alpha=90.00 beta=90.00 gamma=120.00
Sites, in units of the cell vectors:
1 Cr 0.0000 0.0000 0.0000
2 Cr 0.0000 0.0000 0.5000
3 B 0.3333 0.6667 0.2500
4 B 0.6667 0.3333 0.7500
5 N 0.3333 0.6667 0.1104
6 N 0.3333 0.6667 0.3896
7 N 0.6667 0.3333 0.6104
8 N 0.6667 0.3333 0.8896

Sn: relaxed, GGA-PBE.

DFT formation energy	0.10	eV/atom
final energy	-31.3	eV for the cell shown
symmetry	No. 15
volume	28.6	A^3/atom

Unit cell a=5.6439 b=5.6439 c=10.3048 alpha=106.88 beta=106.88 gamma=47.27
Sites, in units of the cell vectors:
1 Sn 0.0000 0.0000 0.0000
2 Sn 0.0000 0.0000 0.5000
3 Sn 0.2479 0.2575 0.8777
4 Sn 0.2575 0.2479 0.3777
5 Sn 0.4945 0.5055 0.7500
6 Sn 0.5055 0.4945 0.2500
7 Sn 0.7425 0.7521 0.6223
8 Sn 0.7521 0.7425 0.1223

NbFe4Si: relaxed, GGA-PBE.

DFT formation energy	-0.06	eV/atom
final energy	-99.7	eV for the cell shown
symmetry	No. 164
volume	12.5	A^3/atom

Unit cell a=4.7909 b=4.7909 c=7.5350 alpha=90.00 beta=90.00 gamma=120.00
Sites, in units of the cell vectors:
1 Nb 0.3333 0.6667 0.4180
2 Nb 0.6667 0.3333 0.5820
3 Fe 0.0000 0.0000 0.0000
4 Fe 0.0000 0.0000 0.5000
5 Fe 0.1698 0.3397 0.7571
6 Fe 0.1698 0.8302 0.7571
7 Fe 0.3397 0.1698 0.2429
8 Fe 0.6603 0.8302 0.7571
9 Fe 0.8302 0.1698 0.2429
10 Fe 0.8302 0.6603 0.2429
11 Si 0.3333 0.6667 0.0570
12 Si 0.6667 0.3333 0.9430

Er2TcAg: relaxed, GGA-PBE.

DFT formation energy	-0.16	eV/atom
final energy	-23.0	eV for the cell shown
symmetry	No. 225
volume	21.2	A^3/atom

Unit cell a=4.9297 b=4.9297 c=4.9297 alpha=60.00 beta=60.00 gamma=60.00
Sites, in units of the cell vectors:
1 Er 0.2500 0.2500 0.2500
2 Er 0.7500 0.7500 0.7500
3 Tc 0.0000 0.0000 0.0000
4 Ag 0.5000 0.5000 0.5000

K2Ge8O17: relaxed, GGA-PBE.

DFT formation energy	-2.14	eV/atom
final energy	-678.2	eV for the cell shown
symmetry	No. 62
volume	15.5	A^3/atom

Unit cell a=13.6593 b=8.9252 c=13.7684 alpha=90.00 beta=90.00 gamma=90.00
Sites, in units of the cell vectors:
1 K 0.0075 0.2500 0.0935
2 K 0.0922 0.2500 0.4818
3 K 0.4078 0.7500 0.9818
4 K 0.4925 0.7500 0.5935
5 K 0.5075 0.2500 0.4065
6 K 0.5922 0.2500 0.0182
7 K 0.9078 0.7500 0.5182
8 K 0.9925 0.7500 0.9065
9 Ge 0.0876 0.5930 0.3065
10 Ge 0.0876 0.9070 0.3065
11 Ge 0.1238 0.5703 0.6809
12 Ge 0.1238 0.9297 0.6809
13 Ge 0.1734 0.5747 0.1029
14 Ge 0.1734 0.9253 0.1029
15 Ge 0.1940 0.0711 0.8870
16 Ge 0.1940 0.4289 0.8870
17 Ge 0.3060 0.5711 0.3870
18 Ge 0.3060 0.9289 0.3870
19 Ge 0.3266 0.0747 0.6029
20 Ge 0.3266 0.4253 0.6029
21 Ge 0.3762 0.0703 0.1809
22 Ge 0.3762 0.4297 0.1809
23 Ge 0.4124 0.0930 0.8065
24 Ge 0.4124 0.4070 0.8065
25 Ge 0.5876 0.5930 0.1935
26 Ge 0.5876 0.9070 0.1935
27 Ge 0.6238 0.5703 0.8191
28 Ge 0.6238 0.9297 0.8191
29 Ge 0.6734 0.5747 0.3971
30 Ge 0.6734 0.9253 0.3971
31 Ge 0.6940 0.0711 0.6130
32 Ge 0.6940 0.4289 0.6130
33 Ge 0.8060 0.5711 0.1130
34 Ge 0.8060 0.9289 0.1130
35 Ge 0.8266 0.0747 0.8971
36 Ge 0.8266 0.4253 0.8971
37 Ge 0.8762 0.0703 0.3191
38 Ge 0.8762 0.4297 0.3191
39 Ge 0.9124 0.0930 0.6935
40 Ge 0.9124 0.4070 0.6935
41 O 0.0018 0.5495 0.6451
42 O 0.0018 0.9505 0.6451
43 O 0.0132 0.7500 0.3492
44 O 0.0967 0.0095 0.1905
45 O 0.0967 0.4905 0.1905
46 O 0.1346 0.5603 0.8097
47 O 0.1346 0.9397 0.8097
48 O 0.1412 0.0467 0.0033
49 O 0.1412 0.4533 0.0033
50 O 0.1485 0.7500 0.0452
51 O 0.1513 0.2500 0.8517
52 O 0.1636 0.7500 0.2478
53 O 0.1659 0.7500 0.6437
54 O 0.1800 0.5294 0.3932
55 O 0.1800 0.9706 0.3932
56 O 0.1979 0.0643 0.6213
57 O 0.1979 0.4357 0.6213
58 O 0.3021 0.5643 0.1213
59 O 0.3021 0.9357 0.1213
60 O 0.3200 0.0294 0.8932
61 O 0.3200 0.4706 0.8932
62 O 0.3341 0.2500 0.1437
63 O 0.3364 0.2500 0.7478
64 O 0.3487 0.7500 0.3517
65 O 0.3515 0.2500 0.5452
66 O 0.3588 0.5467 0.5033
67 O 0.3588 0.9533 0.5033
68 O 0.3654 0.0603 0.3097
69 O 0.3654 0.4397 0.3097
70 O 0.4033 0.5095 0.6905
71 O 0.4033 0.9905 0.6905
72 O 0.4868 0.2500 0.8492
73 O 0.4982 0.0495 0.1451
74 O 0.4982 0.4505 0.1451
75 O 0.5018 0.5495 0.8549
76 O 0.5018 0.9505 0.8549
77 O 0.5132 0.7500 0.1508
78 O 0.5967 0.0095 0.3095
79 O 0.5967 0.4905 0.3095
80 O 0.6346 0.5603 0.6903
81 O 0.6346 0.9397 0.6903
82 O 0.6412 0.0467 0.4967
83 O 0.6412 0.4533 0.4967
84 O 0.6485 0.7500 0.4548
85 O 0.6513 0.2500 0.6483
86 O 0.6636 0.7500 0.2522
87 O 0.6659 0.7500 0.8563
88 O 0.6800 0.5294 0.1068
89 O 0.6800 0.9706 0.1068
90 O 0.6979 0.0643 0.8787
91 O 0.6979 0.4357 0.8787
92 O 0.8021 0.5643 0.3787
93 O 0.8021 0.9357 0.3787
94 O 0.8200 0.0294 0.6068
95 O 0.8200 0.4706 0.6068
96 O 0.8341 0.2500 0.3563
97 O 0.8364 0.2500 0.7522
98 O 0.8487 0.7500 0.1483
99 O 0.8515 0.2500 0.9548
100 O 0.8588 0.5467 0.9967
101 O 0.8588 0.9533 0.9967
102 O 0.8654 0.0603 0.1903
103 O 0.8654 0.4397 0.1903
104 O 0.9033 0.5095 0.8095
105 O 0.9033 0.9905 0.8095
106 O 0.9868 0.2500 0.6508
107 O 0.9982 0.0495 0.3549
108 O 0.9982 0.4505 0.3549

Mg6ZnNi: relaxed, GGA-PBE.

DFT formation energy	0.01	eV/atom
final energy	-33.1	eV for the cell shown
volume	19.0	A^3/atom

Unit cell a=4.7651 b=6.1494 c=10.3925 alpha=90.00 beta=90.00 gamma=90.00
Sites, in units of the cell vectors:
1 Mg 0.0000 0.5000 0.6739
2 Mg 0.0000 0.5000 0.1697
3 Mg 0.0000 0.2419 0.4108
4 Mg 0.0000 0.0000 0.1739
5 Mg 0.0000 0.7419 0.9108
6 Mg 0.0000 0.7581 0.4108
7 Mg 0.0000 0.0000 0.6697
8 Mg 0.5000 0.7507 0.0846
9 Mg 0.5000 0.7493 0.5846
10 Mg 0.0000 0.2581 0.9108
11 Mg 0.5000 0.2493 0.0846
12 Mg 0.5000 0.2507 0.5846
13 Zn 0.5000 0.5000 0.3326
14 Zn 0.5000 0.0000 0.8326
15 Ni 0.5000 0.5000 0.8330
16 Ni 0.5000 0.0000 0.3330

CsGa2Se4O14: relaxed, GGA-PBE.

DFT formation energy	-1.23	eV/atom
final energy	-212.7	eV for the cell shown
symmetry	No. 15
volume	16.4	A^3/atom

Unit cell a=9.2755 b=9.2755 c=12.8635 alpha=121.28 beta=121.28 gamma=49.53
Sites, in units of the cell vectors:
1 Cs 0.2426 0.7574 0.7500
2 Cs 0.7574 0.2426 0.2500
3 Ga 0.2644 0.3663 0.8879
4 Ga 0.3663 0.2644 0.3879
5 Ga 0.6337 0.7356 0.6121
6 Ga 0.7356 0.6337 0.1121
7 Se 0.1942 0.2965 0.0919
8 Se 0.2352 0.6958 0.3985
9 Se 0.2965 0.1942 0.5919
10 Se 0.3042 0.7648 0.1015
11 Se 0.6958 0.2352 0.8985
12 Se 0.7035 0.8058 0.4081
13 Se 0.7648 0.3042 0.6015
14 Se 0.8058 0.7035 0.9081
15 O 0.0078 0.9001 0.3782
16 O 0.0224 0.5350 0.1558
17 O 0.0999 0.9922 0.1218
18 O 0.1153 0.2747 0.3272
19 O 0.2063 0.6381 0.9575
20 O 0.2234 0.5600 0.4454
21 O 0.2383 0.3772 0.7294
22 O 0.2747 0.1153 0.8272
23 O 0.3123 0.3444 0.0543
24 O 0.3444 0.3123 0.5543
25 O 0.3619 0.7937 0.5425
26 O 0.3772 0.2383 0.2294
27 O 0.4400 0.7766 0.0546
28 O 0.4650 0.9776 0.3442
29 O 0.5350 0.0224 0.6558
30 O 0.5600 0.2234 0.9454
31 O 0.6228 0.7617 0.7706
32 O 0.6381 0.2063 0.4575
33 O 0.6556 0.6877 0.4457
34 O 0.6877 0.6556 0.9457
35 O 0.7253 0.8847 0.1728
36 O 0.7617 0.6228 0.2706
37 O 0.7766 0.4400 0.5546
38 O 0.7937 0.3619 0.0425
39 O 0.8847 0.7253 0.6728
40 O 0.9001 0.0078 0.8782
41 O 0.9776 0.4650 0.8442
42 O 0.9922 0.0999 0.6218